Entry 1:
# CsTiH10C4O13 | Materials Project | GGA-PBE | relaxed
# Crystal system   monoclinic
# Electronic total energy   -6.25 eV per atom
# Offset from the most stable computed form   0.0000 eV/atom
# Formation enthalpy at 0 K   -1.594 eV per atom
data_CsTiH10C4O13
_space_group_name_H-M_alt 'P 1 21/m 1'
_space_group_IT_number 11
_cell_length_a 6.767
_cell_length_b 11.518
_cell_length_c 8.050
_cell_angle_alpha 90.00
_cell_angle_beta 95.13
_cell_angle_gamma 90.00
loop_
_space_group_symop_operation_xyz
'x,y,z'
'-x,-y,-z'
'-x,y+1/2,-z'
'x,-y+1/2,z'
loop_
_atom_site_label
_atom_site_fract_x
_atom_site_fract_y
_atom_site_fract_z
Cs1 0.047 0.250 0.217
Ti1 0.342 0.250 0.724
H1 0.034 0.678 0.368
H2 0.173 0.536 0.225
H3 0.239 0.522 0.416
H4 0.339 0.679 0.069
H5 0.470 0.681 0.558
C1 0.273 0.030 0.908
C2 0.341 0.509 0.741
O1 0.047 0.250 0.617
O2 0.126 0.542 0.338
O3 0.244 0.542 0.022
O4 0.251 0.141 0.917
O5 0.354 0.615 0.707
O6 0.378 0.076 0.645
O7 0.383 0.750 0.133
O8 0.472 0.250 0.497

=====

Entry 2:
# HfHg4As2Cl6 | Materials Project | GGA-PBE | relaxed
# Crystal system   orthorhombic
# Electronic total energy   -3.35 eV per atom
# Formation enthalpy at 0 K   -1.205 eV per atom
data_HfHg4As2Cl6
_space_group_name_H-M_alt 'P b c a'
_space_group_IT_number 61
_cell_length_a 13.720
_cell_length_b 13.818
_cell_length_c 17.223
_cell_angle_alpha 90.00
_cell_angle_beta 90.00
_cell_angle_gamma 90.00
loop_
_space_group_symop_operation_xyz
'x,y,z'
'-x,-y,-z'
'-x+1/2,-y,z+1/2'
'x+1/2,y,-z+1/2'
'x+1/2,-y+1/2,-z'
'-x+1/2,y+1/2,z'
'-x,y+1/2,-z+1/2'
'x,-y+1/2,z+1/2'
loop_
_atom_site_label
_atom_site_fract_x
_atom_site_fract_y
_atom_site_fract_z
Hf1 0.204 0.005 0.116
Hg1 0.021 0.217 0.503
Hg2 0.023 0.245 0.252
Hg3 0.086 0.510 0.858
Hg4 0.230 0.734 0.372
As1 0.062 0.692 0.867
As2 0.097 0.173 0.373
Cl1 0.039 0.004 0.174
Cl2 0.130 0.508 0.055
Cl3 0.143 0.097 0.002
Cl4 0.169 0.649 0.549
Cl5 0.227 0.079 0.729
Cl6 0.238 0.160 0.181

=====

What total magnetic moment values result from the calculations? In sequence: 1.00; 0.00 μB/f.u..